# Tb2ZrSe5, optimized geometry, DFT r2SCAN
# Calculated total energy   -689.082 eV/cell
# DFT formation energy   -1939 meV per atom
# Calculated volume   752.7 Å³ per cell
data_Tb2ZrSe5
_chemical_formula_sum 'Tb8 Zr4 Se20'
_cell_length_a 12.202
_cell_length_b 8.087
_cell_length_c 7.628
_cell_angle_alpha 90.00
_cell_angle_beta 90.00
_cell_angle_gamma 90.00
_space_group_name_H-M_alt 'P n m a'
_space_group_IT_number 62
loop_
_space_group_symop_operation_xyz
'x,y,z'
'-x,-y,-z'
'-x+1/2,-y,z+1/2'
'x+1/2,y,-z+1/2'
'x+1/2,-y+1/2,-z+1/2'
'-x+1/2,y+1/2,z+1/2'
'-x,y+1/2,-z'
'x,-y+1/2,z'
loop_
_atom_site_label
_atom_site_fract_x
_atom_site_fract_y
_atom_site_fract_z
_atom_site_occupancy
Tb1 0.180 0.004 0.020 1
Zr1 0.005 0.750 0.579 1
Se1 0.003 0.750 0.949 1
Se2 0.096 0.037 0.660 1
Se3 0.180 0.750 0.329 1
Se4 0.208 0.250 0.308 1



# TeSe, optimized geometry, DFT r2SCAN
# Calculated total energy   -119.252 eV/cell
# DFT formation energy   -11 meV per atom
# Calculated volume   192.5 Å³ per cell
data_TeSe
_chemical_formula_sum 'Te3 Se3'
_cell_length_a 4.424
_cell_length_b 4.532
_cell_length_c 10.897
_cell_angle_alpha 88.73
_cell_angle_beta 89.38
_cell_angle_gamma 61.80
_space_group_name_H-M_alt 'P 1'
_space_group_IT_number 1
loop_
_space_group_symop_operation_xyz
'x,y,z'
loop_
_atom_site_label
_atom_site_fract_x
_atom_site_fract_y
_atom_site_fract_z
_atom_site_occupancy
Te1 0.000 0.000 0.000 1
Te2 0.006 0.992 0.514 1
Te3 0.744 0.734 0.335 1
Se1 0.522 0.214 0.167 1
Se2 0.524 0.219 0.680 1
Se3 0.743 0.783 0.835 1



# TeSe2, optimized geometry, DFT r2SCAN
# Calculated total energy   -108.142 eV/cell
# DFT formation energy   -10 meV per atom
# Calculated volume   186.8 Å³ per cell
data_TeSe2
_chemical_formula_sum 'Te2 Se4'
_cell_length_a 8.088
_cell_length_b 4.371
_cell_length_c 5.286
_cell_angle_alpha 90.00
_cell_angle_beta 91.59
_cell_angle_gamma 90.00
_space_group_name_H-M_alt 'C 1 2 1'
_space_group_IT_number 5
loop_
_space_group_symop_operation_xyz
'x,y,z'
'-x,y,-z'
'x+1/2,y+1/2,z'
'-x+1/2,y+1/2,-z'
loop_
_atom_site_label
_atom_site_fract_x
_atom_site_fract_y
_atom_site_fract_z
_atom_site_occupancy
Te1 0.000 0.000 0.000 1
Se1 0.109 0.631 0.660 1



# Ti3Te2Se2, optimized geometry, DFT r2SCAN
# Calculated total energy   -252.069 eV/cell
# DFT formation energy   -1109 meV per atom
# Calculated volume   318.6 Å³ per cell
data_Ti3Te2Se2
_chemical_formula_sum 'Ti6 Te4 Se4'
_cell_length_a 13.955
_cell_length_b 3.784
_cell_length_c 6.777
_cell_angle_alpha 90.00
_cell_angle_beta 117.09
_cell_angle_gamma 90.00
_space_group_name_H-M_alt 'C 1 2/m 1'
_space_group_IT_number 12
loop_
_space_group_symop_operation_xyz
'x,y,z'
'-x,-y,-z'
'-x,y,-z'
'x,-y,z'
'x+1/2,y+1/2,z'
'-x+1/2,-y+1/2,-z'
'-x+1/2,y+1/2,-z'
'x+1/2,-y+1/2,z'
loop_
_atom_site_label
_atom_site_fract_x
_atom_site_fract_y
_atom_site_fract_z
_atom_site_occupancy
Ti1 0.000 0.000 0.000 1
Ti2 0.246 0.500 0.807 1
Te1 0.134 0.500 0.311 1
Se1 0.116 0.000 0.788 1



# Th2Se3, optimized geometry, DFT r2SCAN
# Calculated total energy   -798.781 eV/cell
# DFT formation energy   -1962 meV per atom
# Calculated volume   529.9 Å³ per cell
data_Th2Se3
_chemical_formula_sum 'Th8 Se12'
_cell_length_a 11.326
_cell_length_b 4.054
_cell_length_c 11.540
_cell_angle_alpha 90.00
_cell_angle_beta 90.00
_cell_angle_gamma 90.00
_space_group_name_H-M_alt 'P n m a'
_space_group_IT_number 62
loop_
_space_group_symop_operation_xyz
'x,y,z'
'-x,-y,-z'
'-x+1/2,-y,z+1/2'
'x+1/2,y,-z+1/2'
'x+1/2,-y+1/2,-z+1/2'
'-x+1/2,y+1/2,z+1/2'
'-x,y+1/2,-z'
'x,-y+1/2,z'
loop_
_atom_site_label
_atom_site_fract_x
_atom_site_fract_y
_atom_site_fract_z
_atom_site_occupancy
Th1 0.024 0.250 0.184 1
Th2 0.197 0.250 0.517 1
Se1 0.054 0.750 0.378 1
Se2 0.122 0.250 0.945 1
Se3 0.215 0.750 0.703 1



# Th7Se12, optimized geometry, DFT r2SCAN
# Calculated total energy   -724.467 eV/cell
# DFT formation energy   -2021 meV per atom
# Calculated volume   489.7 Å³ per cell
data_Th7Se12
_chemical_formula_sum 'Th7 Se12'
_cell_length_a 11.6879
_cell_length_b 11.6879
_cell_length_c 4.1390
_cell_angle_alpha 90.00
_cell_angle_beta 90.00
_cell_angle_gamma 120.00
_space_group_name_H-M_alt 'P -6'
_space_group_IT_number 174
loop_
_space_group_symop_operation_xyz
'x,y,z'
'-x+y,-x,-z'
'-y,x-y,z'
'x,y,-z'
'-x+y,-x,z'
'-y,x-y,-z'
loop_
_atom_site_label
_atom_site_fract_x
_atom_site_fract_y
_atom_site_fract_z
_atom_site_occupancy
Th1 0.0000 0.0000 0.0000 1
Th2 0.1576 0.4447 0.5000 1
Th3 0.4357 0.2798 0.0000 1
Se1 0.0070 0.2543 0.0000 1
Se2 0.1372 0.6257 0.0000 1
Se3 0.2182 0.2126 0.5000 1
Se4 0.5228 0.1383 0.5000 1



# ThSe, optimized geometry, DFT r2SCAN
# Calculated total energy   -364.924 eV/cell
# DFT formation energy   -1722 meV per atom
# Calculated volume   209.5 Å³ per cell
data_ThSe
_chemical_formula_sum 'Th4 Se4'
_cell_length_a 5.939
_cell_length_b 5.939
_cell_length_c 5.939
_cell_angle_alpha 90.00
_cell_angle_beta 90.00
_cell_angle_gamma 90.00
_space_group_name_H-M_alt 'F m -3 m'
_space_group_IT_number 225
_space_group_name_Hall '-F 4 2 3'
loop_
_atom_site_label
_atom_site_fract_x
_atom_site_fract_y
_atom_site_fract_z
_atom_site_occupancy
Th1 0.000 0.000 0.000 1
Se1 0.000 0.000 0.500 1



# ThUSe2, optimized geometry, DFT r2SCAN
# Calculated total energy   -188.333 eV/cell
# DFT formation energy   -1573 meV per atom
# Calculated volume   103.3 Å³ per cell
data_ThUSe2
_chemical_formula_sum 'Th1 U1 Se2'
_cell_length_a 4.179
_cell_length_b 4.179
_cell_length_c 5.919
_cell_angle_alpha 90.00
_cell_angle_beta 90.00
_cell_angle_gamma 90.00
_space_group_name_H-M_alt 'P 4/m m m'
_space_group_IT_number 123
_space_group_name_Hall '-P 4 2'
loop_
_atom_site_label
_atom_site_fract_x
_atom_site_fract_y
_atom_site_fract_z
_atom_site_occupancy
Th1 0.000 0.000 0.000 1
U1 0.500 0.500 0.500 1
Se1 0.000 0.000 0.500 1
Se2 0.500 0.500 0.000 1